[1]
DFT (GGA+U) results for a geometry-optimized La14Mn16O45 structure.

Properties
Calculated total energy ... -0.583 Ry per atom
Formation enthalpy at 0 K ... -2854 meV per atom

abc: 5.6011 5.6238 31.3414
angles: 89.71 89.41 89.67
With the nearest neighbours (Å) after each atom.
Space group P1 (No. 1)
Symmetry-distinct sites (fractional):
1 La 0.0000 0.0000 0.0000 (multiplicity 1)  6 O 2.42-2.64
2 La 0.0015 0.0015 0.7449 (multiplicity 1)  6 O 2.42-2.67
3 La 0.0036 0.9935 0.4988 (multiplicity 1)  5 O 2.41-2.67
4 La 0.4384 0.4999 0.8725 (multiplicity 1)  6 O 2.42-2.68
5 La 0.4441 0.4983 0.1316 (multiplicity 1)  5 O 2.44-2.65
6 La 0.4461 0.5154 0.3614 (multiplicity 1)  5 O 2.40-2.64
7 La 0.4562 0.5049 0.6127 (multiplicity 1)  5 O 2.44-2.66
8 La 0.4994 0.5163 0.0012 (multiplicity 1)  6 O 2.42-2.67
9 La 0.5011 0.5177 0.7439 (multiplicity 1)  6 O 2.43-2.71
10 La 0.9378 0.0170 0.8726 (multiplicity 1)  6 O 2.44-2.65
11 La 0.9443 0.0104 0.1268 (multiplicity 1)  7 O 2.43-2.72
12 La 0.9526 0.9912 0.3701 (multiplicity 1)  8 O 2.50-2.70
13 La 0.9554 0.0132 0.6184 (multiplicity 1)  6 O 2.42-2.71
14 La 0.9969 0.9873 0.2469 (multiplicity 1)  4 O 2.42-2.53
15 Mn 0.4635 0.9797 0.4381 (multiplicity 1)  4 O 1.87-2.00
16 Mn 0.4663 0.9979 0.1903 (multiplicity 1)  6 O 1.89-2.10
17 Mn 0.4682 0.0105 0.3081 (multiplicity 1)  6 O 1.89-2.11
18 Mn 0.4690 0.0081 0.9364 (multiplicity 1)  6 O 2.01-2.06
19 Mn 0.4688 0.0107 0.0634 (multiplicity 1)  6 O 2.02-2.05
20 Mn 0.4699 0.0089 0.8087 (multiplicity 1)  6 O 2.03-2.05
21 Mn 0.4731 0.0137 0.6814 (multiplicity 1)  6 O 2.01-2.05
22 Mn 0.4800 0.0066 0.5542 (multiplicity 1)  6 O 1.93-2.08
23 Mn 0.9544 0.5043 0.3110 (multiplicity 1)  5 O 1.95-2.03
24 Mn 0.9587 0.5078 0.1866 (multiplicity 1)  5 O 1.94-2.06
25 Mn 0.9691 0.5064 0.0627 (multiplicity 1)  6 O 1.92-2.04
26 Mn 0.9695 0.5092 0.8089 (multiplicity 1)  6 O 2.02-2.08
27 Mn 0.9696 0.5092 0.9364 (multiplicity 1)  6 O 2.01-2.07
28 Mn 0.9719 0.5127 0.5585 (multiplicity 1)  5 O 1.93-2.06
29 Mn 0.9739 0.5090 0.6823 (multiplicity 1)  6 O 1.91-2.05
30 Mn 0.9759 0.5224 0.4353 (multiplicity 1)  4 O 1.89-1.98
31 O 0.1372 0.2143 0.4303 (multiplicity 1)  1 Mn 1.96
32 O 0.1813 0.2346 0.1795 (multiplicity 1)  2 Mn 1.98-2.10
33 O 0.1865 0.2262 0.8199 (multiplicity 1)  2 Mn 2.03
34 O 0.1863 0.2283 0.0730 (multiplicity 1)  2 Mn 2.00-2.02
35 O 0.1865 0.2283 0.9251 (multiplicity 1)  2 Mn 2.02-2.04
36 O 0.1866 0.2438 0.3193 (multiplicity 1)  2 Mn 1.97-2.07
37 O 0.1915 0.2313 0.6721 (multiplicity 1)  2 Mn 2.00-2.01
38 O 0.2000 0.2447 0.5650 (multiplicity 1)  2 Mn 1.98-2.08
39 O 0.2114 0.7359 0.1960 (multiplicity 1)  2 Mn 1.94-2.06
40 O 0.2147 0.7463 0.3120 (multiplicity 1)  2 Mn 2.00-2.06
41 O 0.2193 0.7520 0.5495 (multiplicity 1)  2 Mn 1.96-2.06
42 O 0.2442 0.7189 0.4437 (multiplicity 1)  2 Mn 1.89-1.92
43 O 0.2470 0.7304 0.0513 (multiplicity 1)  2 Mn 2.04-2.05
44 O 0.2506 0.7352 0.6939 (multiplicity 1)  2 Mn 2.04-2.05
45 O 0.2524 0.7291 0.9474 (multiplicity 1)  2 Mn 2.01-2.05
46 O 0.2530 0.7258 0.7980 (multiplicity 1)  2 Mn 2.03-2.04
47 O 0.4246 0.0618 0.2490 (multiplicity 1)  2 Mn 1.89
48 O 0.4555 0.0871 0.0000 (multiplicity 1)  2 Mn 2.03-2.04
49 O 0.4573 0.0883 0.7455 (multiplicity 1)  2 Mn 2.03-2.05
50 O 0.4784 0.9307 0.1263 (multiplicity 1)  2 Mn 2.02-2.04
51 O 0.4800 0.0872 0.4943 (multiplicity 1)  2 Mn 1.87-1.93
52 O 0.4819 0.9374 0.6181 (multiplicity 1)  2 Mn 2.03-2.04
53 O 0.4852 0.9274 0.8724 (multiplicity 1)  2 Mn 2.05-2.06
54 O 0.4901 0.9644 0.3750 (multiplicity 1)  2 Mn 1.98-2.11
55 O 0.6844 0.2935 0.0741 (multiplicity 1)  2 Mn 2.03
56 O 0.6867 0.2858 0.9250 (multiplicity 1)  2 Mn 2.02-2.06
57 O 0.6875 0.2899 0.8200 (multiplicity 1)  2 Mn 2.04
58 O 0.6895 0.2946 0.6707 (multiplicity 1)  2 Mn 2.02-2.04
59 O 0.7038 0.2675 0.3176 (multiplicity 1)  2 Mn 1.95-1.99
60 O 0.7092 0.2697 0.1783 (multiplicity 1)  2 Mn 1.96-2.08
61 O 0.7273 0.2689 0.5667 (multiplicity 1)  2 Mn 1.96-2.07
62 O 0.7471 0.7801 0.3035 (multiplicity 1)  2 Mn 1.95-2.03
63 O 0.7511 0.7890 0.0516 (multiplicity 1)  2 Mn 2.03-2.04
64 O 0.7519 0.7875 0.9473 (multiplicity 1)  2 Mn 2.01-2.04
65 O 0.7534 0.7825 0.1956 (multiplicity 1)  2 Mn 1.94-2.02
66 O 0.7531 0.7906 0.7981 (multiplicity 1)  2 Mn 2.02-2.03
67 O 0.7538 0.7762 0.5506 (multiplicity 1)  2 Mn 1.93-2.00
68 O 0.7541 0.7912 0.6932 (multiplicity 1)  2 Mn 2.03-2.04
69 O 0.7783 0.8128 0.4425 (multiplicity 1)  2 Mn 1.98-2.00
70 O 0.9095 0.5434 0.3749 (multiplicity 1)  2 Mn 1.94-2.03
71 O 0.9525 0.4274 0.0007 (multiplicity 1)  2 Mn 2.00-2.07
72 O 0.9536 0.4290 0.7442 (multiplicity 1)  2 Mn 1.99-2.08
73 O 0.9819 0.5808 0.1222 (multiplicity 1)  2 Mn 1.92-2.06
74 O 0.9841 0.5861 0.8728 (multiplicity 1)  2 Mn 2.04-2.05
75 O 0.9908 0.5844 0.6227 (multiplicity 1)  2 Mn 1.91-2.06

=====

[2]
DFT (GGA+U) results for a geometry-optimized Ba2AlV2F11 structure.

Properties
Calculated total energy ... -0.443 Ry per atom
Formation enthalpy at 0 K ... -3634 meV per atom

abc: 7.4810 7.4810 14.5700
angles: 90.00 90.00 120.00
With the nearest neighbours (Å) after each atom.
Space group P3_2 (No. 145)
Symmetry-distinct sites (fractional):
1 Ba 0.1406 0.0113 0.0000 (multiplicity 3)  8 F 2.68-3.00
2 Ba 0.5188 0.1643 0.4657 (multiplicity 3)  8 F 2.70-2.98
3 Al 0.1782 0.5004 0.8752 (multiplicity 3)  6 F 1.77-1.94
4 V 0.1433 0.4374 0.3925 (multiplicity 3)  5 F 2.06-2.22
5 V 0.3350 0.3136 0.2182 (multiplicity 3)  6 F 2.06-2.30
6 F 0.0302 0.1293 0.1788 (multiplicity 3)  1 V 2.07
7 F 0.0570 0.7578 0.1952 (multiplicity 3)  1 Al 1.80
8 F 0.0843 0.4172 0.9874 (multiplicity 3)  1 Al 1.77
9 F 0.1598 0.7348 0.8719 (multiplicity 3)  1 Al 1.83
10 F 0.2163 0.5385 0.2471 (multiplicity 3)  1 Al 1.94
11 F 0.2490 0.5586 0.7546 (multiplicity 3)  1 Al 1.82
12 F 0.2592 0.2441 0.3572 (multiplicity 3)  2 V 2.09-2.10
13 F 0.3563 0.1549 0.6913 (multiplicity 3)  1 V 2.10
14 F 0.3994 0.3921 0.0817 (multiplicity 3)  2 V 2.06
15 F 0.4204 0.0901 0.1676 (multiplicity 3)  1 Al 1.86
16 F 0.5193 0.1617 0.9245 (multiplicity 3)  1 V 2.08